YbGaCu4: relaxed, r2SCAN.

Cell and atoms, written as CIF:
```
data_YbGaCu4
_chemical_formula_sum 'Yb1 Ga1 Cu4'
_cell_length_a 5.0300
_cell_length_b 5.0300
_cell_length_c 4.0297
_cell_angle_alpha 90.00
_cell_angle_beta 90.00
_cell_angle_gamma 120.00
_space_group_name_H-M_alt 'P -6 m 2'
_space_group_IT_number 187
_space_group_name_Hall 'P -6 2'
loop_
_atom_site_label
_atom_site_type_symbol
_atom_site_fract_x
_atom_site_fract_y
_atom_site_fract_z
Yb1 Yb 0.0000 0.0000 0.0000
Ga1 Ga 0.3333 0.6667 0.0000
Cu1 Cu 0.5014 0.0028 0.5000
Cu2 Cu 0.6667 0.3333 0.0000
```

ΔE_f in eV/atom: -0.28
Total DFT energy (no corrections) in eV per cell: -93.02
Density in g/cm3: 9.35


NbPCl10: relaxed, r2SCAN.

Cell and atoms, written as CIF:
```
data_NbPCl10
_chemical_formula_sum 'Nb2 P2 Cl20'
_cell_length_a 7.014
_cell_length_b 7.355
_cell_length_c 13.600
_cell_angle_alpha 90.66
_cell_angle_beta 91.48
_cell_angle_gamma 106.20
_space_group_name_H-M_alt 'P -1'
_space_group_IT_number 2
_space_group_name_Hall '-P 1'
loop_
_atom_site_label
_atom_site_type_symbol
_atom_site_fract_x
_atom_site_fract_y
_atom_site_fract_z
Nb1 Nb 0.000 0.000 0.000
Nb2 Nb 0.000 0.000 0.500
P1 P 0.378 0.593 0.261
Cl1 Cl 0.105 0.006 0.167
Cl2 Cl 0.118 0.275 0.604
Cl3 Cl 0.122 0.524 0.192
Cl4 Cl 0.129 0.818 0.614
Cl5 Cl 0.235 0.299 0.977
Cl6 Cl 0.241 0.842 0.954
Cl7 Cl 0.308 0.080 0.420
Cl8 Cl 0.338 0.589 0.402
Cl9 Cl 0.470 0.157 0.777
Cl10 Cl 0.478 0.588 0.774
```

ΔE_f in eV/atom: -1.06
Total DFT energy (no corrections) in eV per cell: -216.05
Density in g/cm3: 2.36


NdScO3: relaxed, r2SCAN.

Cell and atoms, written as CIF:
```
data_NdScO3
_chemical_formula_sum 'Nd4 Sc4 O12'
_cell_length_a 5.810
_cell_length_b 8.030
_cell_length_c 5.580
_cell_angle_alpha 90.00
_cell_angle_beta 90.00
_cell_angle_gamma 90.00
_space_group_name_H-M_alt 'P n m a'
_space_group_IT_number 62
_space_group_name_Hall '-P 2ac 2n'
loop_
_atom_site_label
_atom_site_type_symbol
_atom_site_fract_x
_atom_site_fract_y
_atom_site_fract_z
Nd1 Nd 0.057 0.250 0.015
Sc1 Sc 0.000 0.000 0.500
O1 O 0.041 0.750 0.390
O2 O 0.199 0.558 0.802
```

ΔE_f in eV/atom: -3.81
Total DFT energy (no corrections) in eV per cell: -311.11
Density in g/cm3: 6.05


SmZnSi: relaxed, r2SCAN.

Cell and atoms, written as CIF:
```
data_SmZnSi
_chemical_formula_sum 'Sm1 Zn1 Si1'
_cell_length_a 4.1241
_cell_length_b 4.1241
_cell_length_c 4.1859
_cell_angle_alpha 90.00
_cell_angle_beta 90.00
_cell_angle_gamma 120.00
_space_group_name_H-M_alt 'P -6 m 2'
_space_group_IT_number 187
_space_group_name_Hall 'P -6 2'
loop_
_atom_site_label
_atom_site_type_symbol
_atom_site_fract_x
_atom_site_fract_y
_atom_site_fract_z
Sm1 Sm 0.0000 0.0000 0.0000
Zn1 Zn 0.3333 0.6667 0.5000
Si1 Si 0.6667 0.3333 0.5000
```

ΔE_f in eV/atom: -0.73
Total DFT energy (no corrections) in eV per cell: -49.62
Density in g/cm3: 6.57